Model P:
Here is a relaxed Li2MnCoO4 crystal from the Materials Project. Energies are from PBE+U.

Summary:
The crystal system is triclinic. Its total moment is 0.7500 μB per atom.

abc: 5.060 5.134 5.953
angles: 72.87 89.93 80.62
Positions (direct):
1 Li 0.000 0.000 0.000
2 Li 0.000 0.000 0.500
3 Li 0.496 0.002 0.246
4 Li 0.504 0.998 0.754
5 Mn 0.249 0.501 0.374
6 Mn 0.751 0.499 0.626
7 Co 0.250 0.499 0.880
8 Co 0.750 0.501 0.120
9 O 0.108 0.275 0.665
10 O 0.135 0.269 0.205
11 O 0.363 0.736 0.086
12 O 0.394 0.721 0.555
13 O 0.606 0.279 0.445
14 O 0.637 0.264 0.914
15 O 0.865 0.731 0.795
16 O 0.892 0.725 0.335

---

Model Q:
Here is a relaxed Li2MnCoO4 crystal from the Materials Project. Energies are from PBE+U.

Summary:
The crystal system is monoclinic. Its total moment is 0.5000 μB per atom.

abc: 5.142 5.142 10.587
angles: 97.16 97.16 32.50
Positions (direct):
1 Li 0.000 0.000 0.000
2 Li 0.000 0.000 0.500
3 Li 0.498 0.498 0.745
4 Li 0.502 0.502 0.255
5 Mn 0.246 0.246 0.869
6 Mn 0.754 0.754 0.131
7 Co 0.256 0.256 0.381
8 Co 0.744 0.744 0.619
9 O 0.127 0.127 0.680
10 O 0.141 0.141 0.189
11 O 0.364 0.364 0.561
12 O 0.366 0.366 0.070
13 O 0.634 0.634 0.930
14 O 0.636 0.636 0.439
15 O 0.859 0.859 0.811
16 O 0.873 0.873 0.320

---

Preferred: model P; penalty for the next structure: 44 meV/atom.

---

Model P:
Here is a relaxed Li2MnCoO4 crystal from the Materials Project. Energies are from PBE+U.

Summary:
The crystal system is monoclinic. Its total moment is 0.6203 μB per atom.

abc: 6.031 6.031 5.351
angles: 110.51 110.51 56.50
Positions (direct):
1 Li 0.247 0.247 0.492
2 Li 0.501 0.001 0.996
3 Li 0.753 0.753 0.508
4 Li 0.999 0.499 0.004
5 Mn 0.500 0.500 0.000
6 Mn 0.751 0.249 0.500
7 Co 0.249 0.751 0.500
8 Co 0.999 0.001 0.000
9 O 0.115 0.119 0.734
10 O 0.138 0.645 0.765
11 O 0.355 0.862 0.235
12 O 0.384 0.379 0.273
13 O 0.621 0.616 0.727
14 O 0.639 0.134 0.774
15 O 0.866 0.361 0.226
16 O 0.881 0.885 0.266

---

Model Q:
Here is a relaxed Li2MnCoO4 crystal from the Materials Project. Energies are from PBE+U.

Summary:
The crystal system is triclinic. Its total moment is 0.3749 μB per atom.

abc: 5.074 5.084 6.052
angles: 94.33 102.41 99.92
Positions (direct):
1 Li 0.000 0.000 0.000
2 Li 0.000 0.488 0.249
3 Li 0.003 0.491 0.761
4 Li 0.993 0.011 0.487
5 Mn 0.498 0.244 0.877
6 Mn 0.498 0.746 0.622
7 Co 0.498 0.250 0.370
8 Co 0.500 0.748 0.128
9 O 0.261 0.373 0.055
10 O 0.269 0.384 0.548
11 O 0.273 0.877 0.814
12 O 0.276 0.889 0.307
13 O 0.718 0.611 0.431
14 O 0.725 0.613 0.943
15 O 0.728 0.110 0.691
16 O 0.734 0.124 0.201

---

Model R:
Here is a relaxed Li2MnCoO4 crystal from the Materials Project. Energies are from PBE+U.

Summary:
The crystal system is monoclinic. Its total moment is 0.5000 μB per atom.

abc: 5.078 3.053 9.863
angles: 90.00 103.11 90.00
Positions (direct):
1 Li 0.125 0.250 0.125
2 Li 0.375 0.750 0.374
3 Li 0.625 0.250 0.626
4 Li 0.875 0.750 0.875
5 Mn 0.124 0.750 0.626
6 Mn 0.876 0.250 0.374
7 Co 0.375 0.250 0.877
8 Co 0.625 0.750 0.123
9 O 0.019 0.250 0.755
10 O 0.230 0.250 0.497
11 O 0.273 0.750 0.001
12 O 0.476 0.750 0.751
13 O 0.524 0.250 0.249
14 O 0.727 0.250 0.999
15 O 0.770 0.750 0.503
16 O 0.981 0.750 0.245

---

Model S:
Here is a relaxed Li2MnCoO4 crystal from the Materials Project. Energies are from PBE+U.

Summary:
The crystal system is monoclinic. Its total moment is 0.3765 μB per atom.

abc: 5.131 5.957 5.060
angles: 90.00 109.27 90.00
Positions (direct):
1 Li 0.000 0.122 0.250
2 Li 0.000 0.370 0.750
3 Li 0.000 0.630 0.250
4 Li 0.000 0.878 0.750
5 Mn 0.500 0.375 0.250
6 Mn 0.500 0.625 0.750
7 Co 0.500 0.118 0.750
8 Co 0.500 0.882 0.250
9 O 0.266 0.147 0.021
10 O 0.266 0.853 0.521
11 O 0.280 0.391 0.498
12 O 0.280 0.609 0.998
13 O 0.720 0.391 0.002
14 O 0.720 0.609 0.502
15 O 0.734 0.147 0.479
16 O 0.734 0.853 0.979

---

Preferred: model S; penalty for the next structure: 42 meV/atom.

---

Model P:
Here is a relaxed Li3Mn3CoO8 crystal from the Materials Project. Energies are from PBE+U.

Summary:
The crystal system is triclinic. Its total moment is 0.0672 μB per atom.

abc: 5.831 5.840 10.235
angles: 75.83 75.66 62.05
Positions (direct):
1 Li 0.237 0.257 0.252
2 Li 0.239 0.253 0.753
3 Li 0.240 0.742 0.257
4 Li 0.760 0.258 0.743
5 Li 0.761 0.747 0.247
6 Li 0.763 0.743 0.748
7 Mn 0.000 0.000 0.000
8 Mn 0.000 0.000 0.500
9 Mn 0.000 0.500 0.000
10 Mn 0.500 0.000 0.500
11 Mn 0.500 0.500 0.000
12 Mn 0.500 0.500 0.500
13 Co 0.000 0.500 0.500
14 Co 0.500 0.000 0.000
15 O 0.101 0.155 0.610
16 O 0.115 0.614 0.123
17 O 0.123 0.146 0.105
18 O 0.129 0.643 0.602
19 O 0.350 0.901 0.386
20 O 0.354 0.374 0.398
21 O 0.357 0.376 0.894
22 O 0.368 0.869 0.896
23 O 0.632 0.131 0.104
24 O 0.643 0.624 0.106
25 O 0.646 0.626 0.602
26 O 0.650 0.099 0.614
27 O 0.871 0.357 0.398
28 O 0.877 0.854 0.895
29 O 0.885 0.386 0.877
30 O 0.899 0.845 0.390

---

Model Q:
Here is a relaxed Li3Mn3CoO8 crystal from the Materials Project. Energies are from PBE+U.

Summary:
The crystal system is orthorhombic. Its total moment is 0.4667 μB per atom.

abc: 5.912 5.912 9.536
angles: 90.00 90.00 121.59
Positions (direct):
1 Li 0.174 0.826 0.500
2 Li 0.176 0.349 0.501
3 Li 0.349 0.176 0.001
4 Li 0.651 0.824 0.501
5 Li 0.824 0.651 0.001
6 Li 0.826 0.174 0.000
7 Mn 0.167 0.335 0.230
8 Mn 0.168 0.832 0.229
9 Mn 0.335 0.167 0.730
10 Mn 0.665 0.833 0.230
11 Mn 0.832 0.168 0.729
12 Mn 0.833 0.665 0.730
13 Co 0.335 0.665 0.947
14 Co 0.665 0.335 0.447
15 O 0.016 0.984 0.616
16 O 0.033 0.512 0.109
17 O 0.157 0.843 0.845
18 O 0.162 0.312 0.841
19 O 0.312 0.162 0.341
20 O 0.349 0.651 0.349
21 O 0.483 0.517 0.111
22 O 0.488 0.967 0.109
23 O 0.512 0.033 0.609
24 O 0.517 0.483 0.611
25 O 0.651 0.349 0.849
26 O 0.688 0.838 0.841
27 O 0.838 0.688 0.341
28 O 0.843 0.157 0.345
29 O 0.967 0.488 0.609
30 O 0.984 0.016 0.116

---

Preferred: model P; penalty for the next structure: 25 meV/atom.

---

Model P:
Here is a relaxed LiMnCo3O8 crystal from the Materials Project. Energies are from PBE+U.

Summary:
The crystal system is triclinic. Its total moment is 0.3846 μB per atom.

abc: 5.680 5.999 9.843
angles: 73.61 89.89 62.27
Positions (direct):
1 Li 0.000 0.000 0.000
2 Li 0.496 0.014 0.477
3 Mn 0.247 0.509 0.738
4 Mn 0.746 0.504 0.243
5 Co 0.246 0.506 0.240
6 Co 0.495 0.510 0.490
7 Co 0.496 0.506 0.990
8 Co 0.747 0.509 0.739
9 Co 0.997 0.507 0.990
10 Co 0.997 0.510 0.489
11 O 0.089 0.312 0.858
12 O 0.095 0.310 0.361
13 O 0.150 0.694 0.375
14 O 0.150 0.704 0.877
15 O 0.338 0.319 0.102
16 O 0.339 0.314 0.605
17 O 0.397 0.702 0.119
18 O 0.405 0.706 0.624
19 O 0.589 0.310 0.359
20 O 0.597 0.312 0.857
21 O 0.653 0.705 0.374
22 O 0.655 0.694 0.876
23 O 0.838 0.327 0.607
24 O 0.844 0.308 0.103
25 O 0.895 0.706 0.622
26 O 0.903 0.701 0.119

---

Model Q:
Here is a relaxed LiMnCo3O8 crystal from the Materials Project. Energies are from PBE+U.

Summary:
The crystal system is triclinic. Its total moment is 0.3846 μB per atom.

abc: 5.744 5.983 9.902
angles: 75.15 89.95 61.43
Positions (direct):
1 Li 0.000 0.000 0.000
2 Li 0.495 0.008 0.491
3 Mn 0.248 0.504 0.245
4 Mn 0.749 0.505 0.745
5 Co 0.000 0.503 0.497
6 Co 0.249 0.506 0.745
7 Co 0.496 0.507 0.993
8 Co 0.497 0.502 0.497
9 Co 0.748 0.503 0.245
10 Co 0.999 0.507 0.993
11 O 0.094 0.311 0.861
12 O 0.107 0.305 0.366
13 O 0.153 0.695 0.386
14 O 0.153 0.698 0.883
15 O 0.343 0.314 0.103
16 O 0.345 0.313 0.607
17 O 0.388 0.703 0.124
18 O 0.405 0.700 0.628
19 O 0.584 0.302 0.367
20 O 0.597 0.311 0.861
21 O 0.652 0.696 0.390
22 O 0.653 0.697 0.884
23 O 0.844 0.311 0.100
24 O 0.846 0.312 0.607
25 O 0.901 0.699 0.629
26 O 0.911 0.705 0.123

---

Preferred: model P; penalty for the next structure: 9 meV/atom.

---

Model P:
Here is a relaxed LiMnCo3O8 crystal from the Materials Project. Energies are from PBE+U.

Summary:
The crystal system is triclinic. Its total moment is 0.3846 μB per atom.

abc: 5.692 6.112 8.255
angles: 86.10 89.98 89.67
Positions (direct):
1 Li 0.000 0.000 0.000
2 Li 0.498 0.503 0.490
3 Mn 0.500 0.007 0.492
4 Mn 0.997 0.502 0.994
5 Co 0.248 0.254 0.241
6 Co 0.249 0.754 0.744
7 Co 0.497 0.503 0.993
8 Co 0.746 0.255 0.241
9 Co 0.749 0.754 0.745
10 Co 0.999 0.010 0.491
11 O 0.000 0.462 0.224
12 O 0.001 0.051 0.247
13 O 0.002 0.955 0.742
14 O 0.247 0.714 0.976
15 O 0.249 0.291 0.009
16 O 0.255 0.227 0.471
17 O 0.262 0.780 0.518
18 O 0.494 0.047 0.260
19 O 0.494 0.462 0.222
20 O 0.499 0.549 0.760
21 O 0.500 0.960 0.729
22 O 0.737 0.227 0.472
23 O 0.745 0.294 0.007
24 O 0.745 0.715 0.976
25 O 0.746 0.786 0.517
26 O 0.997 0.548 0.759

---

Model Q:
Here is a relaxed LiMnCo3O8 crystal from the Materials Project. Energies are from PBE+U.

Summary:
Its total moment is 0.1539 μB per atom.

abc: 5.670 5.984 9.844
angles: 106.01 90.00 118.28
Positions (direct):
1 Li 0.250 0.500 0.750
2 O 0.401 0.801 0.636
3 O 0.100 0.199 0.864
4 O 0.351 0.197 0.119
5 O 0.346 0.197 0.619
6 O 0.599 0.199 0.364
7 O 0.149 0.803 0.381
8 Co 0.750 0.000 0.250
9 O 0.900 0.801 0.136
10 O 0.851 0.197 0.619
11 Li 0.750 0.500 0.250
12 Co 0.500 0.000 0.000
13 O 0.154 0.803 0.881
14 O 0.093 0.186 0.362
15 O 0.846 0.197 0.119
16 O 0.593 0.187 0.863
17 O 0.907 0.814 0.638
18 O 0.407 0.813 0.137
19 Co 0.250 0.000 0.250
20 O 0.654 0.803 0.381
21 Co 0.250 0.000 0.750
22 O 0.649 0.803 0.881
23 Mn 0.500 0.000 0.500
24 Mn 0.000 0.000 0.000
25 Co 0.000 0.000 0.500
26 Co 0.750 0.000 0.750

---

Preferred: model Q; penalty for the next structure: 28 meV/atom.